No. 1
# Sr8MgP4I4O16 PBE optimized geometry
data_Sr8MgP4I4O16
_cell_length_a 8.5932
_cell_length_b 9.2866
_cell_length_c 9.6565
_cell_angle_alpha 96.70
_cell_angle_beta 109.04
_cell_angle_gamma 90.66
_symmetry_space_group_name_H-M 'P 1'
_symmetry_Int_Tables_number 1
loop_
_symmetry_equiv_pos_as_xyz
'x,y,z'
loop_
_atom_site_label
_atom_site_type_symbol
_atom_site_fract_x
_atom_site_fract_y
_atom_site_fract_z
_atom_site_occupancy
Sr1 Sr 0.0000 0.0000 0.0000 1
Sr2 Sr 0.0075 0.2804 0.5720 1
Sr3 Sr 0.3711 0.5626 0.4769 1
Sr4 Sr 0.4339 0.3758 0.1301 1
Sr5 Sr 0.4763 0.0129 0.3873 1
Sr6 Sr 0.5089 0.8406 0.0135 1
Sr7 Sr 0.9203 0.4714 0.1314 1
Sr8 Sr 0.9728 0.9036 0.3642 1
Mg1 Mg 0.8450 0.5892 0.5724 1
P1 P 0.1971 0.7405 0.1927 1
P2 P 0.1994 0.2532 0.3068 1
P3 P 0.6795 0.6617 0.2849 1
P4 P 0.7119 0.1366 0.2094 1
I1 I 0.1836 0.9883 0.7374 1
I2 I 0.3276 0.4938 0.7939 1
I3 I 0.6412 0.8338 0.7129 1
I4 I 0.7840 0.2558 0.7968 1
O1 O 0.0075 0.7630 0.1339 1
O2 O 0.1132 0.3750 0.3765 1
O3 O 0.1329 0.2457 0.1352 1
O4 O 0.1721 0.1036 0.3546 1
O5 O 0.2265 0.5762 0.1699 1
O6 O 0.2624 0.7916 0.3642 1
O7 O 0.2797 0.8420 0.1167 1
O8 O 0.3880 0.2959 0.3629 1
O9 O 0.5223 0.0959 0.1583 1
O10 O 0.5879 0.5729 0.3638 1
O11 O 0.6309 0.6001 0.1190 1
O12 O 0.6453 0.8254 0.2969 1
O13 O 0.7327 0.2921 0.1761 1
O14 O 0.7884 0.1247 0.3790 1
O15 O 0.7913 0.0195 0.1271 1
O16 O 0.8686 0.6476 0.3635 1
# Total moment: 0.0 μB per cell
# Energy relative to the elements: -2880 meV/atom
# E_tot: -206.08 eV/cell


No. 2
# CsW3Cl7 PBE optimized geometry
data_CsW3Cl7
_cell_length_a 10.2346
_cell_length_b 10.2346
_cell_length_c 15.2076
_cell_angle_alpha 90.00
_cell_angle_beta 90.00
_cell_angle_gamma 120.00
_symmetry_space_group_name_H-M 'P 3 1 c'
_symmetry_Int_Tables_number 159
loop_
_symmetry_equiv_pos_as_xyz
'x,y,z'
'-y,x-y,z'
'-x+y,-x,z'
'y,x,z+1/2'
'x-y,-y,z+1/2'
'-x,-x+y,z+1/2'
loop_
_atom_site_label
_atom_site_type_symbol
_atom_site_fract_x
_atom_site_fract_y
_atom_site_fract_z
_atom_site_occupancy
Cs1 Cs 0.0000 0.0000 0.0000 1
Cs2 Cs 0.3333 0.6667 0.2149 1
W1 W 0.1794 0.6560 0.6464 1
W2 W 0.1886 0.5131 0.7877 1
Cl1 Cl 0.0124 0.3230 0.3734 1
Cl2 Cl 0.0324 0.6674 0.0602 1
Cl3 Cl 0.0418 0.6512 0.7864 1
Cl4 Cl 0.0606 0.3716 0.6474 1
Cl5 Cl 0.3333 0.6667 0.5146 1
Cl6 Cl 0.3333 0.6667 0.9187 1
# Total moment: 0.0 μB per cell
# Energy relative to the elements: -1364 meV/atom
# E_tot: -253.68 eV/cell